# 1
Below is a relaxed structure of SrMn7O12, with properties calculated at the meta-GGA r2SCAN level.

a = 6.4067 Å, b = 6.4067 Å, c = 10.4652 Å
α = 90.03°, β = 89.97°, γ = 109.46°
Atoms (fractional coordinates):
1 Sr 0.0000 0.0000 0.0000
2 Sr 0.5000 0.5000 0.5000
3 Mn 0.7500 0.7500 0.2500
4 Mn 0.2500 0.2500 0.7500
5 Mn 0.5000 0.0000 0.0000
6 Mn 0.0000 0.5000 0.5000
7 Mn 0.0000 0.5000 0.0000
8 Mn 0.5000 0.0000 0.5000
9 Mn 0.2500 0.2500 0.2500
10 Mn 0.7500 0.7500 0.7500
11 Mn 0.7500 0.2500 0.2500
12 Mn 0.2501 0.7499 0.7501
13 Mn 0.0000 0.0000 0.5000
14 Mn 0.2500 0.7500 0.2500
15 Mn 0.7500 0.2501 0.7500
16 Mn 0.5001 0.4999 0.0000
17 O 0.8362 0.5247 0.3443
18 O 0.3363 0.0247 0.8442
19 O 0.6637 0.9753 0.1558
20 O 0.1637 0.4753 0.6557
21 O 0.4753 0.1637 0.3443
22 O 0.9753 0.6637 0.8442
23 O 0.0247 0.3363 0.1558
24 O 0.5247 0.8362 0.6557
25 O 0.7788 0.5987 0.0903
26 O 0.2788 0.0986 0.5901
27 O 0.7212 0.9014 0.4098
28 O 0.2213 0.4013 0.9097
29 O 0.0986 0.2788 0.4098
30 O 0.5988 0.7788 0.9097
31 O 0.4013 0.2212 0.0903
32 O 0.9014 0.7212 0.5901
33 O 0.2539 0.7461 0.4346
34 O 0.7538 0.2462 0.9346
35 O 0.2462 0.7538 0.0654
36 O 0.7460 0.2540 0.5654
37 O 0.4346 0.5654 0.2543
38 O 0.9346 0.0654 0.7541
39 O 0.0654 0.9346 0.2459
40 O 0.5654 0.4346 0.7457

Calculated values
Density ... 5.45 g cm⁻³
M_tot ... 27.00 μB/f.u.

# 2
Below is a relaxed structure of Sr5Mn5O13, with properties calculated at the meta-GGA r2SCAN level.

a = 3.8183 Å, b = 8.6308 Å, c = 8.6308 Å
α = 90.00°, β = 90.00°, γ = 90.00°
Atoms (fractional coordinates):
1 Sr 0.5000 0.2822 0.1126
2 Sr 0.5000 0.8874 0.2822
3 Sr 0.5000 0.1126 0.7178
4 Sr 0.5000 0.7178 0.8874
5 Sr 0.5000 0.5000 0.5000
6 Mn 0.0000 0.1988 0.4000
7 Mn 0.0000 0.8012 0.6000
8 Mn 0.0000 0.6000 0.1988
9 Mn 0.0000 0.4000 0.8012
10 Mn 0.0000 0.0000 0.0000
11 O 0.0000 0.7104 0.4009
12 O 0.0000 0.7887 0.0758
13 O 0.5000 0.8332 0.5850
14 O 0.0000 0.0758 0.2113
15 O 0.0000 0.5991 0.7105
16 O 0.0000 0.2895 0.5991
17 O 0.0000 0.2113 0.9242
18 O 0.5000 0.1669 0.4150
19 O 0.5000 0.4150 0.8331
20 O 0.5000 0.5850 0.1668
21 O 0.0000 0.9242 0.7887
22 O 0.5000 0.0000 0.0000
23 O 0.0000 0.4009 0.2895

Calculated values
Crystal system ... tetragonal
Density ... 5.38 g cm⁻³
Space group ... P4/m (83)
M_tot ... 19.00 μB/f.u.

# 3
Below is a relaxed structure of Sr4Mn3O10, with properties calculated at the meta-GGA r2SCAN level.

a = 6.8008 Å, b = 6.8008 Å, c = 12.5781 Å
α = 90.00°, β = 90.00°, γ = 132.54°
Atoms (fractional coordinates):
1 Sr 0.7624 0.2376 0.8874
2 Sr 0.2624 0.7376 0.6126
3 Sr 0.7376 0.2624 0.3874
4 Sr 0.0299 0.9701 0.3573
5 Sr 0.2376 0.7624 0.1126
6 Sr 0.4701 0.5299 0.8573
7 Sr 0.9701 0.0299 0.6427
8 Sr 0.5299 0.4701 0.1427
9 Mn 0.0000 0.0000 0.0000
10 Mn 0.1323 0.8677 0.8478
11 Mn 0.8677 0.1323 0.1522
12 Mn 0.3677 0.6323 0.3478
13 Mn 0.5000 0.5000 0.5000
14 Mn 0.6323 0.3677 0.6522
15 O 0.7753 0.2247 0.6538
16 O 0.2247 0.7753 0.3462
17 O 0.3807 0.1627 0.5366
18 O 0.3373 0.1193 0.9634
19 O 0.2753 0.7247 0.8462
20 O 0.1627 0.3807 0.4634
21 O 0.6627 0.8807 0.0366
22 O 0.8373 0.6193 0.5366
23 O 0.6327 0.8673 0.2500
24 O 0.0359 0.9641 0.1460
25 O 0.8807 0.6627 0.9634
26 O 0.1193 0.3373 0.0366
27 O 0.7247 0.2753 0.1538
28 O 0.3673 0.1327 0.7500
29 O 0.4641 0.5359 0.6460
30 O 0.9641 0.0359 0.8540
31 O 0.1327 0.3673 0.2500
32 O 0.5359 0.4641 0.3540
33 O 0.6193 0.8373 0.4634
34 O 0.8673 0.6327 0.7500

Calculated values
Crystal system ... orthorhombic
Density ... 5.23 g cm⁻³
Space group ... Cmce (64)
M_tot ... 9.00 μB/f.u.

no.,energy relative to the elements (eV per atom)
1,-2.29
2,-2.65
3,-2.70